(1)
First-principles (PBE) data for a geometry-optimized Sm3Si2Ni structure, as listed in the Materials Project.

Summary:
calculated density = 7.05 g/cm3
energy relative to the elements = -0.67 eV per atom
total energy = -5.799 eV per atom

abc: 11.3944 4.1318 11.3301
angles: 90.00 90.00 90.00
Last column: nearest neighbours and their distance in Å.
Space group Pnma (No. 62)
Inequivalent atoms, fractional coordinates:
Sm 0.0582 0.2500 0.1241 [4 per cell]  1 Ni 2.86, 4 Si 3.00
Sm 0.1173 0.7500 0.5593 [4 per cell]  3 Ni 2.93-3.01, 5 Si 2.96-3.04
Sm 0.2140 0.2500 0.8033 [4 per cell]  2 Ni 2.82, 4 Si 2.95-3.06
Si 0.0278 0.7500 0.3138 [4 per cell]  2 Ni 2.44
Si 0.1988 0.7500 0.9934 [4 per cell]  1 Ni 2.43
Ni 0.1290 0.2500 0.3662 [4 per cell]  3 Si 2.43-2.44



(2)
First-principles (PBE) data for a geometry-optimized Hf3ZnF6 structure, as listed in the Materials Project.

Summary:
calculated density = 3.61 g/cm3
energy relative to the elements = -2.34 eV per atom
total energy = -6.326 eV per atom

abc: 5.5498 5.5554 11.7621
angles: 92.57 95.16 113.93
Last column: nearest neighbours and their distance in Å.
Space group P-1 (No. 2)
Inequivalent atoms, fractional coordinates:
Hf 0.0000 0.0000 0.0000 [1 per cell]  2 F 1.92
Hf 0.0000 0.5000 0.5000 [1 per cell]  4 F 2.10-2.11
Hf 0.5000 0.0000 0.5000 [1 per cell]  4 F 2.11
Zn 0.0000 0.0000 0.5000 [1 per cell]  4 Hf 2.77-2.78
F 0.2034 0.2261 0.1336 [2 per cell]  1 Hf 1.92
F 0.2898 0.6550 0.3879 [2 per cell]  2 Hf 2.10-2.11
F 0.3474 0.7095 0.6149 [2 per cell]  2 Hf 2.11



(3)
First-principles (PBE) data for a geometry-optimized Na3SiBiCO7 structure, as listed in the Materials Project.

Summary:
calculated density = 4.00 g/cm3
energy relative to the elements = -2.29 eV per atom
total energy = -6.314 eV per atom

abc: 5.2428 7.1920 9.4745
angles: 90.00 90.70 90.00
Last column: nearest neighbours and their distance in Å.
Space group P2_1/m (No. 11)
Inequivalent atoms, fractional coordinates:
Na 0.2313 0.2500 0.4129 [2 per cell]  6 O 2.45-2.67
Na 0.2461 0.5118 0.7532 [4 per cell]  4 O 2.35-2.52
Si 0.2915 0.2500 0.0953 [2 per cell]  4 O 1.65-1.68
Bi 0.2290 0.7500 0.1331 [2 per cell]  4 O 2.26-2.35
C 0.2695 0.7500 0.4476 [2 per cell]  3 O 1.29-1.31
O 0.0480 0.7500 0.3820 [2 per cell]  1 C 1.31
O 0.1896 0.2500 0.9269 [2 per cell]  1 Si 1.68
O 0.1948 0.0678 0.1851 [4 per cell]  1 Si 1.65
O 0.2787 0.7500 0.5841 [2 per cell]  1 C 1.29
O 0.3926 0.7500 0.9101 [2 per cell]  1 Si 1.66
O 0.4802 0.7500 0.3754 [2 per cell]  1 C 1.31



(4)
First-principles (PBE) data for a geometry-optimized NaMoN2 structure, as listed in the Materials Project.

Summary:
calculated density = 3.96 g/cm3
energy relative to the elements = -0.51 eV per atom
total energy = -7.539 eV per atom

abc: 5.6561 11.2448 15.5197
angles: 90.00 90.00 90.00
Last column: nearest neighbours and their distance in Å.
Space group Pbca (No. 61)
Inequivalent atoms, fractional coordinates:
Na 0.2207 0.0005 0.0563 [8 per cell]  4 N 2.41-2.63
Na 0.2346 0.2228 0.1858 [8 per cell]  3 N 2.50-2.63
Mo 0.2122 0.5207 0.8085 [8 per cell]  4 N 1.91-1.92
Mo 0.2273 0.2284 0.4321 [8 per cell]  4 N 1.89-1.94
N 0.0025 0.6886 0.5033 [8 per cell]  2 Mo 1.89-1.94
N 0.0415 0.0111 0.2048 [8 per cell]  2 Mo 1.91
N 0.0930 0.0816 0.3972 [8 per cell]  2 Mo 1.90-1.92
N 0.1654 0.6856 0.8334 [8 per cell]  2 Mo 1.91



(5)
First-principles (PBE) data for a geometry-optimized CaMg14C structure, as listed in the Materials Project.

Summary:
calculated density = 1.80 g/cm3
polymorph energy (0 for the lowest one) = 0.0 meV/atom
energy relative to the elements = 0.20 eV per atom
total energy = -1.900 eV per atom

abc: 10.4102 6.0741 11.4601
angles: 90.00 90.00 90.00
Last column: nearest neighbours and their distance in Å.
Space group Amm2 (No. 38)
Inequivalent atoms, fractional coordinates:
Ca 0.0000 0.0000 0.0000 [2 per cell]  10 Mg 3.13-3.39, 2 C 3.14
Mg 0.0000 0.2265 0.2680 [4 per cell]  1 C 2.31
Mg 0.1511 0.0000 0.5867 [4 per cell]  1 C 2.39
Mg 0.2597 0.0000 0.1377 [4 per cell]  11 Mg 3.10-3.38, 1 Ca 3.13
Mg 0.2596 0.2472 0.8792 [8 per cell]  9 Mg 2.99-3.32, 1 C 3.16
Mg 0.5000 0.0000 0.4828 [2 per cell]  10 Mg 3.04-3.35
Mg 0.5000 0.0000 0.9737 [2 per cell]  12 Mg 3.04-3.25
Mg 0.5000 0.2462 0.7234 [4 per cell]  10 Mg 2.99-3.35
C 0.0000 0.0000 0.4296 [2 per cell]  4 Mg 2.31-2.39



(6)
First-principles (PBE) data for a geometry-optimized GdFe5 structure, as listed in the Materials Project.

Summary:
calculated density = 8.26 g/cm3
energy relative to the elements = 0.01 eV per atom
total energy = -9.395 eV per atom

abc: 5.0843 5.0843 3.9214
angles: 90.00 90.00 120.00
Last column: nearest neighbours and their distance in Å.
Space group P6/mmm (No. 191)
Inequivalent atoms, fractional coordinates:
Gd 0.0000 0.0000 0.0000 [1 per cell]  18 Fe 2.94-3.21
Fe 0.0000 0.5000 0.5000 [3 per cell]  8 Fe 2.45-2.54
Fe 0.3333 0.6667 0.0000 [2 per cell]  6 Fe 2.45



(7)
First-principles (PBE) data for a geometry-optimized Nd2Sn4Ru structure, as listed in the Materials Project.

Summary:
calculated density = 7.76 g/cm3
energy relative to the elements = -0.53 eV per atom
total energy = -5.513 eV per atom

abc: 4.6988 4.7200 16.6881
angles: 90.00 90.00 90.00
Last column: nearest neighbours and their distance in Å.
Space group Amm2 (No. 38)
Inequivalent atoms, fractional coordinates:
Nd 0.0000 0.0000 0.0000 [2 per cell]  10 Sn 3.26-3.37, 1 Ru 3.37
Nd 0.5000 0.0000 0.2008 [2 per cell]  10 Sn 3.46-3.80, 4 Ru 3.71
Sn 0.0000 0.0000 0.3653 [2 per cell]  2 Ru 2.61
Sn 0.0000 0.0000 0.6439 [2 per cell]  1 Ru 2.58
Sn 0.5000 0.0000 0.5224 [2 per cell]  2 Sn 3.10, 4 Nd 3.35
Sn 0.5000 0.0000 0.8605 [2 per cell]  2 Ru 2.57
Ru 0.0000 0.0000 0.7983 [2 per cell]  5 Sn 2.57-2.61



(8)
First-principles (PBE) data for a geometry-optimized NiGe2Pd structure, as listed in the Materials Project.

Summary:
calculated density = 8.52 g/cm3
energy relative to the elements = -0.37 eV per atom
total energy = -5.421 eV per atom

abc: 3.5587 6.0800 5.5904
angles: 90.00 90.00 90.00
Last column: nearest neighbours and their distance in Å.
Space group Pmc2_1 (No. 26)
Inequivalent atoms, fractional coordinates:
Ni 0.0000 0.0550 0.0000 [2 per cell]  6 Ge 2.40-2.52
Ge 0.0000 0.3143 0.3226 [2 per cell]  2 Ni 2.40-2.45, 4 Pd 2.57-2.60
Ge 0.5000 0.1444 0.6956 [2 per cell]  4 Ni 2.41-2.52, 1 Pd 2.48
Pd 0.5000 0.4333 0.0081 [2 per cell]  6 Ge 2.48-2.77



(9)
First-principles (PBE) data for a geometry-optimized Sm4Si2Se3O7 structure, as listed in the Materials Project.

Summary:
calculated density = 6.38 g/cm3
energy relative to the elements = -3.10 eV per atom
total energy = -7.475 eV per atom

abc: 12.0857 12.0857 14.3476
angles: 90.00 90.00 90.00
Last column: nearest neighbours and their distance in Å.
Space group I4_1/amd (No. 141, origin choice 2)
Inequivalent atoms, fractional coordinates:
Sm 0.0000 0.0107 0.3334 [16 per cell]  3 O 2.36-2.48
Sm 0.1725 0.0775 0.8750 [16 per cell]  6 O 2.49-2.64
Si 0.0000 0.1258 0.0933 [16 per cell]  4 O 1.65-1.66
Se 0.0000 0.2500 0.3750 [4 per cell]  4 Sm 2.95
Se 0.0000 0.2500 0.8750 [4 per cell]  4 Sm 2.95, 8 O 3.26
Se 0.1456 0.0000 0.5000 [16 per cell]  4 Sm 2.97-2.99, 2 O 3.18
O 0.0000 0.0218 0.1693 [16 per cell]  1 Si 1.66
O 0.0000 0.2500 0.1416 [8 per cell]  2 Si 1.65
O 0.1198 0.1093 0.0406 [32 per cell]  1 Si 1.65



(10)
First-principles (PBE) data for a geometry-optimized SiO2 structure, as listed in the Materials Project.

Summary:
calculated density = 1.48 g/cm3
energy relative to the elements = -3.25 eV per atom
total energy = -7.904 eV per atom

abc: 13.7331 12.6650 18.5791
angles: 90.00 90.00 90.00
Last column: nearest neighbours and their distance in Å.
Space group Cmcm (No. 63)
Inequivalent atoms, fractional coordinates:
Si 0.1132 0.0366 0.1665 [16 per cell]  4 O 1.62-1.63
Si 0.1128 0.2294 0.0609 [16 per cell]  4 O 1.62-1.63
Si 0.2272 0.0959 0.5525 [16 per cell]  4 O 1.62-1.63
O 0.0000 0.0012 0.6605 [8 per cell]  2 Si 1.63
O 0.0000 0.2650 0.0528 [8 per cell]  2 Si 1.62
O 0.1266 0.1527 0.1304 [16 per cell]  2 Si 1.63
O 0.1451 0.1679 0.5124 [16 per cell]  2 Si 1.63
O 0.1465 0.0438 0.2500 [8 per cell]  2 Si 1.62
O 0.1783 0.3342 0.0730 [16 per cell]  2 Si 1.62
O 0.1809 0.0497 0.6262 [16 per cell]  2 Si 1.62
O 0.2383 0.5000 0.0000 [8 per cell]  2 Si 1.63



(11)
First-principles (PBE) data for a geometry-optimized TiBi2O6 structure, as listed in the Materials Project.

Summary:
calculated density = 6.63 g/cm3
energy relative to the elements = -1.84 eV per atom
total energy = -6.420 eV per atom

abc: 5.3764 5.3764 4.8650
angles: 90.00 90.00 90.00
Last column: nearest neighbours and their distance in Å.
Space group P4mm (No. 99)
Inequivalent atoms, fractional coordinates:
Ti 0.0000 0.0000 0.0000 [1 per cell]  5 O 1.80-1.94
Bi 0.0000 0.5000 0.3884 [2 per cell]  4 O 2.25
O 0.0000 0.0000 0.6297 [1 per cell]  1 Ti 1.80
O 0.2390 0.2390 0.1411 [4 per cell]  1 Ti 1.94
O 0.5000 0.5000 0.5671 [1 per cell]  4 Bi 2.83, 4 O 2.87



(12)
First-principles (PBE) data for a geometry-optimized NbCr3 structure, as listed in the Materials Project.

Summary:
calculated density = 7.54 g/cm3
energy relative to the elements = 0.36 eV per atom
total energy = -9.406 eV per atom

abc: 3.5069 3.5069 8.9106
angles: 90.00 90.00 90.00
Last column: nearest neighbours and their distance in Å.
Space group I4/mmm (No. 139)
Inequivalent atoms, fractional coordinates:
Nb 0.0000 0.0000 0.0000 [2 per cell]  4 Cr 2.48
Cr 0.0000 0.0000 0.5000 [2 per cell]  4 Nb 2.48
Cr 0.0000 0.5000 0.2500 [4 per cell]  4 Cr 2.48



(13)
First-principles (PBE) data for a geometry-optimized La3Cu3Bi4 structure, as listed in the Materials Project.

Summary:
calculated density = 9.18 g/cm3
energy relative to the elements = -0.65 eV per atom
total energy = -4.921 eV per atom

abc: 10.1451 10.1451 10.1451
angles: 90.00 90.00 90.00
Last column: nearest neighbours and their distance in Å.
Space group I-43d (No. 220)
Inequivalent atoms, fractional coordinates:
La 0.0000 0.2500 0.8750 [12 per cell]  4 Cu 3.11, 4 Bi 3.46
Cu 0.0000 0.2500 0.3750 [12 per cell]  4 Bi 2.82, 4 La 3.11
Bi 0.0790 0.4210 0.5790 [16 per cell]  3 Cu 2.82